[1]
A plane-wave DFT calculation with PBE-GGA was carried out for a relaxed structure of Y3AlNi8.

Lattice parameters (Å, degrees): 5.0605 5.0605 16.6403 90.00 90.00 120.00
With the nearest neighbours (Å) after each atom.
Space group P6_3/mmc (No. 194)
One atom of each set of equivalent atoms:
Y 0.3333 0.6667 0.0477 (multiplicity 4)  9 Ni 2.80-3.03
Y 0.3333 0.6667 0.7500 (multiplicity 2)  9 Ni 2.64-2.92, 3 Al 2.92
Al 0.3333 0.6667 0.2500 (multiplicity 2)  3 Ni 2.92, 3 Y 2.92
Ni 0.0000 0.0000 0.0000 (multiplicity 2)  6 Ni 2.45
Ni 0.0000 0.0000 0.2500 (multiplicity 2)  6 Ni 2.59
Ni 0.1618 0.3236 0.6198 (multiplicity 12)  6 Ni 2.45-2.60, 1 Y 2.64

Computed properties:
E above lowest polymorph, eV/f.u.: 0.44
ΔE_f, eV/atom: -0.253
Energy, eV per atom: -6.0350

---

[2]
A plane-wave DFT calculation with PBE-GGA was carried out for a relaxed structure of Pu2SiO10.

Lattice parameters (Å, degrees): 7.1161 7.1161 17.9231 90.00 90.00 90.00
With the nearest neighbours (Å) after each atom.
Space group I4_1/amd (No. 141, origin choice 2)
One atom of each set of equivalent atoms:
Pu 0.0000 0.2500 0.0523 (multiplicity 8)  3 O 1.78-1.85
Si 0.0000 0.2500 0.8750 (multiplicity 4)  4 O 1.64
O 0.0000 0.9997 0.2957 (multiplicity 16)  1 Pu 1.78
O 0.0000 0.0776 0.9355 (multiplicity 16)  1 Si 1.64
O 0.0000 0.2500 0.1555 (multiplicity 8)  1 Pu 1.85

Computed properties:
ΔE_f, eV/atom: -2.548
Energy, eV per atom: -8.4376

---

[3]
A plane-wave DFT calculation with PBE-GGA was carried out for a relaxed structure of KMg3Si4O12.

Lattice parameters (Å, degrees): 5.2530 9.2513 10.3724 90.00 98.66 90.00
With the nearest neighbours (Å) after each atom.
Space group C2/m (No. 12)
One atom of each set of equivalent atoms:
K 0.0000 0.0000 0.0000 (multiplicity 2)  12 O 3.02-3.29
Mg 0.0000 0.1656 0.5000 (multiplicity 4)  6 O 1.98-2.17
Mg 0.0000 0.5000 0.5000 (multiplicity 2)  6 O 2.04-2.12
Si 0.0748 0.3330 0.2296 (multiplicity 8)  4 O 1.60-1.67
O 0.0309 0.5000 0.1701 (multiplicity 4)  2 Si 1.67
O 0.1176 0.3298 0.3859 (multiplicity 8)  1 Si 1.60
O 0.1284 0.0000 0.4078 (multiplicity 4)  3 Mg 1.98-2.04
O 0.1813 0.2371 0.8348 (multiplicity 8)  2 Si 1.66-1.67

Computed properties:
E above lowest polymorph, eV/f.u.: 0.00
ΔE_f, eV/atom: -3.048
Energy, eV per atom: -6.9851

---

[4]
A plane-wave DFT calculation with PBE-GGA was carried out for a relaxed structure of Tm5Ir3.

Lattice parameters (Å, degrees): 8.2584 8.2584 6.0893 90.00 90.00 120.00
With the nearest neighbours (Å) after each atom.
Space group P6_3/mcm (No. 193)
One atom of each set of equivalent atoms:
Tm 0.0000 0.2649 0.2500 (multiplicity 6)  3 Ir 2.83-2.87
Tm 0.3333 0.6667 0.0000 (multiplicity 4)  6 Ir 2.98, 2 Tm 3.04
Ir 0.0000 0.3873 0.7500 (multiplicity 6)  7 Tm 2.83-2.98

Computed properties:
E above lowest polymorph, eV/f.u.: 0.27
ΔE_f, eV/atom: -0.849
Energy, eV per atom: -6.9607

---

[5]
A plane-wave DFT calculation with PBE-GGA was carried out for a relaxed structure of HoTlSe2.

Lattice parameters (Å, degrees): 4.1794 4.1794 23.2795 90.00 90.00 120.00
With the nearest neighbours (Å) after each atom.
Space group R-3m (No. 166, hexagonal axes)
One atom of each set of equivalent atoms:
Ho 0.0000 0.0000 0.0000 (multiplicity 3)  6 Se 2.88
Tl 0.0000 0.0000 0.5000 (multiplicity 3)  6 Se 3.34
Se 0.0000 0.0000 0.2656 (multiplicity 6)  3 Ho 2.88

Computed properties:
ΔE_f, eV/atom: -1.615
Energy, eV per atom: -4.8632

---

[6]
A plane-wave DFT calculation with PBE-GGA was carried out for a relaxed structure of Li9Sb3P8O29.

Lattice parameters (Å, degrees): 10.2041 10.2041 14.1436 90.00 90.00 120.00
With the nearest neighbours (Å) after each atom.
Space group P-3c1 (No. 165)
One atom of each set of equivalent atoms:
Li 0.0000 0.0000 0.0000 (multiplicity 2)  6 O 2.46
Li 0.1027 0.3292 0.4381 (multiplicity 12)  4 O 1.94-2.16
Li 0.3333 0.6667 0.1201 (multiplicity 4)  1 O 1.79
Sb 0.0000 0.4313 0.2500 (multiplicity 6)  6 O 2.23-2.36
P 0.0872 0.3076 0.6532 (multiplicity 12)  4 O 1.53-1.63
P 0.3333 0.6667 0.3871 (multiplicity 4)  4 O 1.51-1.58
O 0.0000 0.2227 0.7500 (multiplicity 6)  2 P 1.63
O 0.0077 0.2253 0.9315 (multiplicity 12)  1 P 1.53
O 0.0656 0.3016 0.1532 (multiplicity 12)  1 P 1.55
O 0.1248 0.4732 0.6560 (multiplicity 12)  1 P 1.53
O 0.2037 0.5097 0.3492 (multiplicity 12)  1 P 1.58
O 0.3333 0.6667 0.4936 (multiplicity 4)  1 P 1.51

Computed properties:
ΔE_f, eV/atom: -2.541
Energy, eV per atom: -6.5504

---

[7]
A plane-wave DFT calculation with PBE-GGA was carried out for a relaxed structure of CaPbI4.

Lattice parameters (Å, degrees): 9.5211 7.8286 17.6084 90.00 119.34 90.00
With the nearest neighbours (Å) after each atom.
Space group P2_1/c (No. 14)
One atom of each set of equivalent atoms:
Ca 0.2119 0.1280 0.1202 (multiplicity 4)  5 I 3.09-3.19
Pb 0.2425 0.0738 0.8641 (multiplicity 4)  6 I 3.16-3.39
I 0.0292 0.7176 0.5791 (multiplicity 4)  2 Ca 3.10-3.19, 1 Pb 3.39
I 0.0359 0.7080 0.8326 (multiplicity 4)  1 Ca 3.13, 2 Pb 3.34-3.36
I 0.4638 0.2185 0.0595 (multiplicity 4)  1 Ca 3.15, 2 Pb 3.23-3.34
I 0.4674 0.2365 0.3058 (multiplicity 4)  1 Ca 3.09, 1 Pb 3.16

Computed properties:
ΔE_f, eV/atom: -1.323
Energy, eV per atom: -3.0399

---

[8]
A plane-wave DFT calculation with PBE-GGA was carried out for a relaxed structure of TmMgAu.

Lattice parameters (Å, degrees): 7.5895 7.5895 4.0540 90.00 90.00 120.00
With the nearest neighbours (Å) after each atom.
Space group P-62m (No. 189)
One atom of each set of equivalent atoms:
Tm 0.0000 0.5915 0.0000 (multiplicity 3)  5 Au 3.06-3.10, 6 Mg 3.29-3.38
Mg 0.0000 0.2495 0.5000 (multiplicity 3)  4 Au 2.77-2.90
Au 0.0000 0.0000 0.0000 (multiplicity 1)  6 Mg 2.77, 3 Tm 3.10
Au 0.3333 0.6667 0.5000 (multiplicity 2)  3 Mg 2.90, 6 Tm 3.06

Computed properties:
ΔE_f, eV/atom: -0.680
Energy, eV per atom: -3.7970

---

[9]
A plane-wave DFT calculation with PBE-GGA was carried out for a relaxed structure of NaMg14Mn.

Lattice parameters (Å, degrees): 6.3936 6.3936 10.2455 90.00 90.00 120.00
With the nearest neighbours (Å) after each atom.
Space group P-6m2 (No. 187)
One atom of each set of equivalent atoms:
Na 0.0000 0.0000 0.0000 (multiplicity 1)  12 Mg 3.20-3.22
Mg 0.0000 0.5000 0.5000 (multiplicity 3)  10 Mg 3.09-3.20, 2 Mn 3.20
Mg 0.0034 0.5017 0.0000 (multiplicity 3)  10 Mg 3.15-3.23, 2 Na 3.20
Mg 0.1647 0.3294 0.2591 (multiplicity 6)  1 Mn 3.07, 10 Mg 3.09-3.23, 1 Na 3.22
Mg 0.6667 0.3333 0.2480 (multiplicity 2)  12 Mg 3.15-3.20
Mn 0.0000 0.0000 0.5000 (multiplicity 1)  12 Mg 3.07-3.20

Computed properties:
E above lowest polymorph, eV/f.u.: 0.00
ΔE_f, eV/atom: 0.085
Energy, eV per atom: -1.9704

---

[10]
A plane-wave DFT calculation with PBE-GGA was carried out for a relaxed structure of Ca2CeO4.

Lattice parameters (Å, degrees): 6.0463 6.1201 11.9447 90.00 90.00 90.00
With the nearest neighbours (Å) after each atom.
Space group Pbca (No. 61)
One atom of each set of equivalent atoms:
Ca 0.0261 0.0515 0.1580 (multiplicity 8)  4 O 2.28-2.40
Ce 0.0000 0.0000 0.5000 (multiplicity 4)  6 O 2.23-2.29
O 0.1112 0.0662 0.6747 (multiplicity 8)  1 Ce 2.23, 3 Ca 2.28-2.40
O 0.1761 0.1767 0.9623 (multiplicity 8)  2 Ce 2.28-2.29, 1 Ca 2.35

Computed properties:
E above lowest polymorph, eV/f.u.: 0.31
ΔE_f, eV/atom: -3.508
Energy, eV per atom: -7.3631

---

[11]
A plane-wave DFT calculation with PBE-GGA was carried out for a relaxed structure of Na2SO9.

Lattice parameters (Å, degrees): 7.5793 7.5793 12.1075 90.00 90.00 90.00
With the nearest neighbours (Å) after each atom.
Space group P4_322 (No. 95)
One atom of each set of equivalent atoms:
Na 0.0000 0.2005 0.0000 (multiplicity 4)  4 O 2.34-2.53
Na 0.2779 0.5000 0.7500 (multiplicity 4)  6 O 2.37-2.47
S 0.3456 0.5000 0.2500 (multiplicity 4)  2 O 1.49
O 0.0107 0.4766 0.4490 (multiplicity 8)  1 O 1.24
O 0.0743 0.2466 0.7576 (multiplicity 8)  1 O 1.28
O 0.1351 0.1405 0.8301 (multiplicity 8)  1 O 1.28
O 0.3240 0.3240 0.1250 (multiplicity 4)  2 S 2.02
O 0.3666 0.4450 0.9349 (multiplicity 8)  1 S 1.49

Computed properties:
E above lowest polymorph, eV/f.u.: 0.99
ΔE_f, eV/atom: -0.687
Energy, eV per atom: -4.8426

---

> Which of these has the highest energy?

NaMg14Mn